Entry 1:
# MgSi2 | the Materials Project database | PBE-GGA | relaxed
# Offset from the most stable computed form in meV/atom: 86
# DFT total energy in eV per atom: -4.034
# Calculated formation energy in eV per atom: 0.16
data_MgSi2
_chemical_formula_sum 'Mg8 Si16'
_cell_length_a 6.2234
_cell_length_b 6.8624
_cell_length_c 10.2634
_cell_angle_alpha 90.26
_cell_angle_beta 91.52
_cell_angle_gamma 90.75
_symmetry_space_group_name_H-M 'P 1'
_symmetry_Int_Tables_number 1
loop_
_symmetry_equiv_pos_as_xyz
'x,y,z'
loop_
_atom_site_label
_atom_site_type_symbol
_atom_site_fract_x
_atom_site_fract_y
_atom_site_fract_z
Mg1 Mg 0.0000 0.0000 0.0000
Mg2 Mg 0.0441 0.5626 0.2229
Mg3 Mg 0.2612 0.3517 0.4784
Mg4 Mg 0.4313 0.4365 0.7675
Mg5 Mg 0.5034 0.0854 0.9856
Mg6 Mg 0.5852 0.6383 0.2763
Mg7 Mg 0.7527 0.2399 0.4955
Mg8 Mg 0.9470 0.5538 0.7331
Si1 Si 0.0805 0.9477 0.5067
Si2 Si 0.1185 0.1343 0.7072
Si3 Si 0.2241 0.3826 0.0045
Si4 Si 0.2466 0.8324 0.8047
Si5 Si 0.2628 0.9284 0.2270
Si6 Si 0.3374 0.7188 0.0366
Si7 Si 0.3574 0.2705 0.2172
Si8 Si 0.4515 0.9468 0.4454
Si9 Si 0.5756 0.6424 0.5473
Si10 Si 0.6183 0.8401 0.7532
Si11 Si 0.7095 0.7092 0.9788
Si12 Si 0.7444 0.2624 0.1976
Si13 Si 0.7580 0.1805 0.7746
Si14 Si 0.8391 0.3803 0.9808
Si15 Si 0.8793 0.9500 0.2859
Si16 Si 0.9400 0.6207 0.4746

=====

Entry 2:
# Na5FeS4 | the Materials Project database | PBE-GGA | relaxed
# DFT total energy in eV per atom: -4.084
# Calculated formation energy in eV per atom: -1.12
data_Na5FeS4
_chemical_formula_sum 'Na40 Fe8 S32'
_cell_length_a 7.1371
_cell_length_b 21.6258
_cell_length_c 12.0169
_cell_angle_alpha 90.00
_cell_angle_beta 90.00
_cell_angle_gamma 90.00
_symmetry_space_group_name_H-M 'P b c a'
_symmetry_Int_Tables_number 61
loop_
_symmetry_equiv_pos_as_xyz
'x,y,z'
'-x,-y,-z'
'-x+1/2,-y,z+1/2'
'x+1/2,y,-z+1/2'
'x+1/2,-y+1/2,-z'
'-x+1/2,y+1/2,z'
'-x,y+1/2,-z+1/2'
'x,-y+1/2,z+1/2'
loop_
_atom_site_label
_atom_site_type_symbol
_atom_site_fract_x
_atom_site_fract_y
_atom_site_fract_z
Na1 Na 0.0492 0.1336 0.2140
Na2 Na 0.0589 0.0674 0.9427
Na3 Na 0.0911 0.0010 0.6466
Na4 Na 0.1053 0.6696 0.8395
Na5 Na 0.1232 0.7493 0.5899
Fe1 Fe 0.1679 0.1255 0.4595
S1 S 0.1514 0.6207 0.0556
S2 S 0.2064 0.5419 0.3700
S3 S 0.2407 0.7132 0.3685
S4 S 0.2469 0.6248 0.6439

=====

Entry 3:
# MgSb2 | the Materials Project database | PBE-GGA | relaxed
# DFT total energy in eV per atom: -3.260
# Calculated formation energy in eV per atom: -0.10
data_MgSb2
_chemical_formula_sum 'Mg4 Sb8'
_cell_length_a 9.3952
_cell_length_b 5.8821
_cell_length_c 5.6070
_cell_angle_alpha 90.00
_cell_angle_beta 90.00
_cell_angle_gamma 90.00
_symmetry_space_group_name_H-M 'C m c m'
_symmetry_Int_Tables_number 63
_symmetry_space_group_name_Hall '-C 2c 2'
loop_
_atom_site_label
_atom_site_type_symbol
_atom_site_fract_x
_atom_site_fract_y
_atom_site_fract_z
Mg1 Mg 0.0000 0.1841 0.2500
Sb1 Sb 0.1658 0.3004 0.7500

=====

Entry 4:
# Sm5Sb3H | the Materials Project database | PBE-GGA | relaxed
# DFT total energy in eV per atom: -5.291
# Calculated formation energy in eV per atom: -0.94
data_Sm5Sb3H
_chemical_formula_sum 'Sm10 Sb6 H2'
_cell_length_a 9.2138
_cell_length_b 9.2138
_cell_length_c 6.3378
_cell_angle_alpha 90.00
_cell_angle_beta 90.00
_cell_angle_gamma 120.00
_symmetry_space_group_name_H-M 'P 63/m c m'
_symmetry_Int_Tables_number 193
_symmetry_space_group_name_Hall '-P 6c 2'
loop_
_atom_site_label
_atom_site_type_symbol
_atom_site_fract_x
_atom_site_fract_y
_atom_site_fract_z
Sm1 Sm 0.0000 0.2527 0.2500
Sm2 Sm 0.3333 0.6667 0.0000
Sb1 Sb 0.0000 0.3858 0.7500
H1 H 0.0000 0.0000 0.0000